A plane-wave DFT calculation with PBE-GGA was carried out for Lu2Co17 after structural relaxation.

Unit cell a=8.2314 b=8.2314 c=8.0651 alpha=90.00 beta=90.00 gamma=120.00
Space group P6_3/mmc (No. 194)
Unique sites:
Lu 0.0000 0.0000 0.2500 x2
Lu 0.3333 0.6667 0.2500 x2
Co 0.0000 0.5000 0.0000 x6
Co 0.0444 0.3722 0.7500 x12
Co 0.1662 0.3325 0.0222 x12
Co 0.3333 0.6667 0.6066 x4

## Properties
Formation energy from the elements = -0.11 eV/atom